Compound: KBiS2
Source: Materials Project
Functional: PBE
Structure: relaxed

The value obtained for the total DFT energy (no corrections) is -3.850 eV per atom. As for the MP2020-corrected energy: -4.101 eV/atom. The formation energy from the elements is -3.1 eV per formula unit.

The structure belongs to space group P4/mmm (No. 123); the cell edges are 4.2619, 4.2619 and 5.7900 Å and the angles 90.00°, 90.00° and 90.00°. The asymmetric unit holds K at (0.0000, 0.0000, 0.0000), Bi at (0.5000, 0.5000, 0.5000), S at (0.0000, 0.0000, 0.5000) and S at (0.5000, 0.5000, 0.0000).